Entry 1:
! PBE with a Hubbard U Li4Mn2Co3Sn3O16, optimized geometry; values from VASP
&SYSTEM
  ibrav = 0, nat = 28, ntyp = 5
/
ATOMIC_SPECIES
Li 6.94 Li.upf
Mn 54.94 Mn.upf
Co 58.93 Co.upf
Sn 118.71 Sn.upf
O 16.00 O.upf
ATOMIC_POSITIONS angstrom
Li 0.000 0.000 0.000
Li 0.168 0.042 4.871
Li 2.906 1.595 5.843
Li 5.826 3.352 0.952
Mn 2.819 1.614 0.059
Mn 5.879 3.353 4.987
Co 1.476 0.783 2.762
Co 4.509 4.256 7.496
Co 5.978 1.700 7.498
Sn 2.919 3.347 2.760
Sn 4.394 0.775 2.764
Sn 7.461 4.245 7.524
O 3.000 5.167 1.803
O 1.553 2.307 1.510
O 1.565 0.814 8.485
O 3.086 3.458 8.636
O 2.835 1.594 3.854
O 4.444 4.285 3.885
O 2.834 0.065 1.566
O 4.236 2.395 1.466
O 5.874 4.869 6.241
O 4.656 2.637 6.355
O 5.888 3.347 8.488
O 4.563 0.839 8.634
O 5.956 1.668 3.875
O 7.428 4.258 3.970
O 7.194 2.560 6.248
O 9.040 5.196 6.627
CELL_PARAMETERS angstrom
5.974 0.000 0.000
2.951 5.214 0.000
0.222 0.024 9.523
! **Excess energy over the best structure of this formula in the dataset**: 3.6 meV/atom
! **E_form**: -52.00 eV/f.u.
! **Space-group type**: No. 1
! **Crystal system**: triclinic
! **Total moment**: 0.250 μB per atom

Entry 2:
! PBE with a Hubbard U NiH12Br2O14, optimized geometry; values from VASP
&SYSTEM
  ibrav = 0, nat = 58, ntyp = 4
/
ATOMIC_SPECIES
Ni 58.69 Ni.upf
H 1.01 H.upf
Br 79.90 Br.upf
O 16.00 O.upf
ATOMIC_POSITIONS angstrom
Ni 0.000 0.000 2.809
Ni 0.000 0.000 8.414
H -0.627 1.998 4.379
H -0.627 1.999 9.990
H -2.240 4.967 3.786
H -2.238 4.968 9.394
H -1.904 6.382 4.379
H -1.903 6.382 9.990
H 0.767 2.415 3.786
H 0.765 2.416 9.394
H 1.417 1.542 6.844
H 1.418 1.543 1.233
H 2.475 0.544 7.437
H 2.475 0.546 1.829
H 1.473 6.293 9.394
H 1.473 6.295 3.786
H 2.530 5.296 9.990
H 2.531 5.296 4.379
H 3.183 4.422 1.829
H 3.181 4.423 7.437
H 5.851 0.456 1.233
H 5.852 0.456 6.844
H 6.186 1.871 1.829
H 6.188 1.871 7.437
H 4.575 4.839 1.233
H 4.575 4.840 6.844
Br 0.000 4.559 1.004
Br 0.000 4.559 6.615
Br 3.948 2.279 4.608
Br 3.948 2.279 10.219
O -2.642 5.813 4.071
O -2.641 5.813 9.680
O -1.489 4.107 1.578
O -1.489 4.107 7.189
O 0.235 1.644 4.071
O 0.234 1.645 9.680
O 1.541 0.618 7.152
O 1.542 0.620 1.543
O 0.000 4.559 4.969
O 0.000 4.559 10.582
O 1.136 3.495 1.578
O 1.136 3.495 7.189
O 0.353 6.075 1.578
O 0.353 6.075 7.189
O 3.595 0.764 4.034
O 3.595 0.764 9.645
O 2.812 3.343 4.034
O 2.812 3.343 9.645
O 3.948 2.279 0.641
O 3.948 2.279 6.254
O 2.407 6.219 9.680
O 2.407 6.220 4.071
O 3.714 5.193 1.543
O 3.713 5.195 7.152
O 5.437 2.732 4.034
O 5.437 2.732 9.645
O 6.589 1.025 1.543
O 6.590 1.026 7.152
CELL_PARAMETERS angstrom
7.896 0.000 0.000
-3.948 6.838 0.000
0.000 0.000 11.223
! **Excess energy over the best structure of this formula in the dataset**: 0.0 meV/atom
! **E_form**: -26.52 eV/f.u.
! **Space-group type**: No. 147
! **Crystal system**: trigonal
! **Total moment**: 0.069 μB per atom

Entry 3:
! PBE with a Hubbard U KGdW2O8, optimized geometry; values from VASP
&SYSTEM
  ibrav = 0, nat = 24, ntyp = 4
/
ATOMIC_SPECIES
K 39.10 K.upf
Gd 157.25 Gd.upf
W 183.84 W.upf
O 16.00 O.upf
ATOMIC_POSITIONS angstrom
K 4.248 3.279 5.700
K 4.262 -3.279 1.900
Gd 4.262 2.618 1.900
Gd 4.248 -2.618 5.700
W 2.614 0.009 3.818
W 2.627 -0.009 0.017
W 5.882 0.009 7.583
W 5.896 -0.009 3.783
O 1.411 1.275 7.096
O 1.497 1.352 4.352
O 2.725 0.665 1.910
O 1.424 -1.275 3.296
O 1.510 -1.352 0.552
O 4.224 1.238 7.430
O 4.272 1.238 3.971
O 2.712 -0.665 5.710
O 5.798 0.665 1.890
O 4.237 -1.238 3.629
O 4.286 -1.238 0.171
O 7.000 1.352 7.048
O 7.086 1.275 4.304
O 5.785 -0.665 5.691
O 7.013 -1.352 3.248
O 7.099 -1.275 0.504
CELL_PARAMETERS angstrom
4.268 -5.151 0.000
4.268 5.151 0.000
-0.027 0.000 7.600
! **E_form**: -31.95 eV/f.u.
! **Space-group type**: No. 15
! **Crystal system**: monoclinic
! **Total moment**: 0.583 μB per atom

Entry 4:
! PBE with a Hubbard U Ho2MgAg2W4O16, optimized geometry; values from VASP
&SYSTEM
  ibrav = 0, nat = 25, ntyp = 5
/
ATOMIC_SPECIES
Ho 164.93 Ho.upf
Mg 24.30 Mg.upf
Ag 107.87 Ag.upf
W 183.84 W.upf
O 16.00 O.upf
ATOMIC_POSITIONS angstrom
Ho 0.000 0.000 0.000
Ho 6.248 4.526 2.982
Mg 8.815 4.176 5.570
Ag 2.190 1.505 3.018
Ag 3.042 3.043 0.390
W 9.657 9.091 6.401
W 8.709 7.567 3.632
W 11.152 6.306 5.841
W 10.240 4.690 3.151
O 4.476 5.475 4.162
O 2.107 0.411 1.040
O 4.159 4.197 1.936
O 8.052 8.350 5.384
O 7.115 6.764 3.286
O 6.840 3.787 5.250
O 5.956 2.246 2.836
O 6.553 5.087 0.706
O 5.111 0.462 0.343
O 9.338 5.858 4.761
O 10.483 8.058 4.788
O 8.458 4.212 2.770
O 9.827 6.629 2.331
O 7.280 2.352 0.078
O 10.228 3.120 4.486
O 12.747 7.232 6.280
CELL_PARAMETERS angstrom
7.437 0.000 0.000
2.772 6.935 0.000
3.478 2.303 6.569
! **Excess energy over the best structure of this formula in the dataset**: 20.5 meV/atom
! **E_form**: -58.56 eV/f.u.
! **Space-group type**: No. 1
! **Crystal system**: triclinic
! **Total moment**: 0.080 μB per atom

Entry 5:
! PBE with a Hubbard U SrNbCrInO6, optimized geometry; values from VASP
&SYSTEM
  ibrav = 0, nat = 10, ntyp = 5
/
ATOMIC_SPECIES
Sr 87.62 Sr.upf
Nb 92.91 Nb.upf
Cr 52.00 Cr.upf
In 114.82 In.upf
O 16.00 O.upf
ATOMIC_POSITIONS angstrom
Sr 0.000 0.000 0.000
Nb 1.997 1.997 1.997
Cr 5.991 5.991 5.991
In 3.994 3.994 3.994
O 5.991 5.991 4.001
O 5.991 4.001 5.991
O 7.981 5.991 5.991
O 4.001 5.991 5.991
O 5.991 7.981 5.991
O 5.991 5.991 7.981
CELL_PARAMETERS angstrom
0.000 3.994 3.994
3.994 0.000 3.994
3.994 3.994 0.000
! **E_form**: -25.54 eV/f.u.
! **Space-group type**: No. 216
! **Crystal system**: cubic
! **Total moment**: 0.279 μB per atom

Entry 6:
! PBE with a Hubbard U K4MgV2O7, optimized geometry; values from VASP
&SYSTEM
  ibrav = 0, nat = 14, ntyp = 4
/
ATOMIC_SPECIES
K 39.10 K.upf
Mg 24.30 Mg.upf
V 50.94 V.upf
O 16.00 O.upf
ATOMIC_POSITIONS angstrom
K 0.000 0.000 0.000
K -2.813 5.224 4.120
K -1.111 2.804 6.547
K 2.588 0.215 2.405
Mg 3.647 2.962 1.488
V 0.202 2.619 2.888
V 1.654 1.037 5.857
O -0.897 1.457 1.969
O -0.965 4.034 2.668
O 0.535 1.746 4.462
O 0.768 -0.205 6.776
O 1.780 3.131 2.149
O 1.859 2.569 6.930
O 3.184 0.550 5.172
CELL_PARAMETERS angstrom
5.845 0.000 0.000
-2.188 5.960 0.000
-1.828 -0.805 7.348
! **Excess energy over the best structure of this formula in the dataset**: 0.0 meV/atom
! **E_form**: -31.76 eV/f.u.
! **Space-group type**: No. 1
! **Crystal system**: triclinic
! **Total moment**: 0.143 μB per atom

Entry 7:
! PBE with a Hubbard U CoAs2S6N6F18, optimized geometry; values from VASP
&SYSTEM
  ibrav = 0, nat = 66, ntyp = 5
/
ATOMIC_SPECIES
Co 58.93 Co.upf
As 74.92 As.upf
S 32.06 S.upf
N 14.01 N.upf
F 19.00 F.upf
ATOMIC_POSITIONS angstrom
Co 0.000 0.000 0.000
Co -4.781 4.777 6.826
As -4.718 0.489 10.287
As 0.064 4.289 3.461
As 0.061 5.266 10.191
As 4.843 9.066 3.365
S -0.655 0.325 3.426
S -5.437 4.452 10.253
S 1.885 6.650 0.507
S -2.896 7.683 7.333
S 2.926 1.863 0.494
S -1.855 2.915 7.320
S 1.980 6.640 6.332
S -2.801 7.692 13.158
S 3.021 1.872 6.319
S -1.760 2.905 13.145
S 5.562 5.102 3.400
S 0.780 9.230 10.226
N -0.471 0.200 2.007
N -5.253 4.578 8.833
N -3.752 6.533 7.214
N 1.030 7.799 0.388
N 1.737 1.069 0.365
N -3.044 3.708 7.191
N 3.169 5.847 6.462
N -1.613 8.486 13.288
N -0.905 1.756 13.265
N 3.876 3.022 6.439
N 5.378 4.977 4.819
N 0.596 9.355 11.646
F -6.142 1.562 10.304
F -1.361 3.215 3.478
F -1.000 5.680 3.230
F -5.781 8.652 10.057
F -4.581 0.694 8.525
F 0.200 4.083 1.699
F -1.871 1.470 6.470
F -6.653 3.307 13.296
F -6.302 6.697 13.221
F -1.520 7.635 6.394
F -4.265 5.212 11.171
F 0.516 9.120 4.345
F -4.838 0.311 12.055
F -0.056 4.467 5.229
F -3.677 1.918 10.515
F 1.105 2.859 3.689
F 1.484 5.352 3.445
F -3.297 8.981 10.271
F 3.422 0.574 3.381
F -1.359 4.203 10.207
F -0.980 6.696 9.964
F 3.801 7.637 3.137
F 0.181 5.088 8.424
F 4.963 9.244 1.597
F -0.391 0.434 9.307
F 4.390 4.343 2.481
F 1.645 1.920 7.258
F 6.427 2.858 0.432
F 6.777 6.248 0.356
F 1.996 8.084 7.182
F -0.075 5.472 11.954
F 4.706 8.861 5.128
F 5.906 0.903 3.596
F 1.125 3.874 10.422
F 1.486 6.339 10.175
F 6.267 7.993 3.349
CELL_PARAMETERS angstrom
9.688 0.000 0.000
0.000 9.555 0.000
-9.563 0.000 13.652
! **E_form**: -45.04 eV/f.u.
! **Space-group type**: No. 14
! **Crystal system**: monoclinic
! **Total moment**: 0.098 μB per atom

Entry 8:
! PBE with a Hubbard U Ca2V2PbO8, optimized geometry; values from VASP
&SYSTEM
  ibrav = 0, nat = 13, ntyp = 4
/
ATOMIC_SPECIES
Ca 40.08 Ca.upf
V 50.94 V.upf
Pb 207.20 Pb.upf
O 16.00 O.upf
ATOMIC_POSITIONS angstrom
Ca 0.000 0.000 0.000
Ca 0.000 0.000 3.779
V 0.000 0.000 7.795
V 0.000 0.000 11.560
Pb 0.000 0.000 15.600
O -1.451 -0.838 11.043
O 0.000 -1.662 8.379
O -1.439 0.831 8.379
O 0.000 0.000 6.077
O 0.000 0.000 13.256
O 1.451 -0.838 11.043
O 0.000 1.675 11.043
O 1.439 0.831 8.379
CELL_PARAMETERS angstrom
2.865 1.654 6.461
-2.865 1.654 6.461
0.000 -3.308 6.461
! **E_form**: -34.43 eV/f.u.
! **Space-group type**: No. 160
! **Crystal system**: trigonal
! **Total moment**: 0.000 μB per atom

Entry 9:
! PBE with a Hubbard U Li2Mn2P2H12O15, optimized geometry; values from VASP
&SYSTEM
  ibrav = 0, nat = 66, ntyp = 5
/
ATOMIC_SPECIES
Li 6.94 Li.upf
Mn 54.94 Mn.upf
P 30.97 P.upf
H 1.01 H.upf
O 16.00 O.upf
ATOMIC_POSITIONS angstrom
Li 0.000 0.000 0.000
Li -1.274 6.425 1.879
Li 1.131 -0.318 6.050
Li 2.412 6.108 7.949
Mn -0.266 2.633 11.547
Mn 1.399 2.950 5.490
Mn 2.155 2.837 8.501
Mn 3.821 3.151 2.442
P -0.137 4.677 9.591
P 1.275 4.989 3.525
P 2.279 0.796 10.463
P 3.690 1.108 4.401
H -2.165 10.717 2.472
H -0.856 6.043 5.796
H -0.095 2.439 7.846
H -1.543 10.343 8.502
H -0.896 7.610 9.804
H -0.726 8.408 6.196
H -0.735 8.995 1.773
H -0.873 9.204 10.245
H 1.615 0.076 2.113
H 1.235 2.757 1.794
H 0.320 8.359 2.717
H 0.332 9.037 5.256
H 0.794 8.041 8.742
H 0.803 8.715 11.272
H 2.336 3.666 0.086
H 1.930 5.705 11.877
H 1.998 7.871 3.738
H 1.868 8.717 0.112
H 1.856 8.669 7.806
H 2.019 9.464 4.184
H 2.640 6.763 5.506
H 4.362 -0.257 8.184
H 3.649 3.344 6.149
H 3.285 6.361 11.518
O -1.500 6.675 6.187
O -2.230 10.409 7.810
O -0.307 2.441 4.647
O -0.960 5.910 9.293
O -1.484 10.738 1.767
O 0.408 2.491 1.336
O -0.019 4.896 2.648
O 0.732 2.178 7.391
O 0.259 4.533 11.103
O -0.382 8.126 2.059
O 1.453 -0.433 10.771
O -0.344 8.405 9.997
O -0.375 9.278 5.903
O 0.879 4.849 5.038
O 1.440 2.130 10.704
O 1.154 4.584 8.712
O 2.397 1.203 5.280
O 2.114 3.655 3.282
O 2.675 0.934 8.949
O 1.506 7.801 8.098
O 1.468 8.667 3.994
O 2.096 6.219 3.214
O 1.505 8.948 11.928
O 3.294 1.252 2.888
O 2.822 3.609 6.601
O 3.571 0.887 11.339
O 3.162 3.932 0.544
O 2.622 6.971 0.116
O 4.509 -0.125 4.699
O 3.860 3.343 9.345
CELL_PARAMETERS angstrom
4.838 0.000 0.000
-2.418 11.286 0.000
-0.016 -0.641 12.108
! **Excess energy over the best structure of this formula in the dataset**: 0.1 meV/atom
! **E_form**: -59.11 eV/f.u.
! **Space-group type**: No. 1
! **Crystal system**: triclinic
! **Total moment**: 0.242 μB per atom

Entry 10:
! PBE with a Hubbard U MgFe3Ni2SbP6O24, optimized geometry; values from VASP
&SYSTEM
  ibrav = 0, nat = 37, ntyp = 6
/
ATOMIC_SPECIES
Mg 24.30 Mg.upf
Fe 55.84 Fe.upf
Ni 58.69 Ni.upf
Sb 121.76 Sb.upf
P 30.97 P.upf
O 16.00 O.upf
ATOMIC_POSITIONS angstrom
Mg 0.000 0.000 0.000
Fe 0.000 0.000 6.072
Fe 0.000 0.000 10.427
Fe 0.000 0.000 19.300
Ni 0.000 0.000 2.961
Ni 0.000 0.000 13.392
Sb 0.000 0.000 16.356
P -1.189 -2.185 8.251
P -3.013 -0.205 12.033
P -1.298 2.122 8.251
P 1.684 -2.507 12.033
P 2.486 0.063 8.251
P 1.329 2.712 12.033
O -3.587 -0.991 10.819
O -1.478 0.018 4.593
O -0.716 -3.602 8.659
O -3.451 -1.142 13.212
O -0.409 -1.617 7.072
O 0.723 -1.289 4.593
O -1.152 -1.261 9.478
O -2.762 2.421 8.659
O -1.196 1.163 7.072
O -1.473 -0.100 12.015
O 0.755 1.271 4.593
O -0.516 1.628 9.478
O -0.628 -1.511 15.064
O 1.605 0.455 7.072
O 0.823 -1.226 12.015
O 1.668 -0.367 9.478
O 2.652 -2.611 10.819
O -0.995 1.299 15.064
O 0.650 1.326 12.015
O 2.714 -2.418 13.212
O 0.935 3.602 10.819
O 3.477 1.181 8.659
O 1.623 0.212 15.064
O 0.737 3.560 13.212
CELL_PARAMETERS angstrom
4.337 2.504 7.363
-4.337 2.504 7.363
0.000 -5.008 7.363
! **Excess energy over the best structure of this formula in the dataset**: 38.5 meV/atom
! **E_form**: -83.48 eV/f.u.
! **Space-group type**: No. 146
! **Crystal system**: trigonal
! **Total moment**: 0.513 μB per atom

| no. | energy with MP2020 corrections (eV/atom) |
| --- | --- |
| 1 | -6.803 |
| 2 | -5.019 |
| 3 | -9.386 |
| 4 | -8.240 |
| 5 | -7.942 |
| 6 | -6.471 |
| 7 | -5.175 |
| 8 | -7.685 |
| 9 | -6.273 |
| 10 | -7.498 |